1.
Material: TbFe10Mo2N
Method: DFT, PBE-GGA
State: optimized geometry Values from VASP.

Calculated values
The energy of formation from the pure elements comes out at -133 meV/atom. For the spin magnetization, the calculation gives 19.188 μB per formula unit.

```
&SYSTEM
  ibrav = 0, nat = 14, ntyp = 4
/
ATOMIC_SPECIES
Tb 158.93 Tb.upf
Fe 55.84 Fe.upf
Mo 95.94 Mo.upf
N 14.01 N.upf
CELL_PARAMETERS angstrom
-2.385 4.310 4.335
2.385 -4.310 4.335
2.385 4.310 -4.335
ATOMIC_POSITIONS crystal
Tb 0.000 0.000 0.000
Fe 0.000 0.000 0.500
Fe 0.000 0.500 0.000
Fe 0.220 0.720 0.500
Fe 0.221 0.500 0.721
Fe 0.360 0.360 0.000
Fe 0.500 0.000 0.000
Fe 0.500 0.500 0.500
Fe 0.640 0.640 0.000
Fe 0.779 0.500 0.279
Fe 0.780 0.280 0.500
Mo 0.359 0.000 0.359
Mo 0.641 0.000 0.641
N 0.000 0.500 0.500
```

=====

2.
Material: TmFe10Mo2N
Method: DFT, PBE-GGA
State: optimized geometry Values from VASP.

Calculated values
The energy of formation from the pure elements comes out at -147 meV/atom. For the spin magnetization, the calculation gives 19.066 μB per formula unit.

```
&SYSTEM
  ibrav = 0, nat = 14, ntyp = 4
/
ATOMIC_SPECIES
Tm 168.93 Tm.upf
Fe 55.84 Fe.upf
Mo 95.94 Mo.upf
N 14.01 N.upf
CELL_PARAMETERS angstrom
-2.372 4.298 4.345
2.372 -4.298 4.345
2.372 4.298 -4.345
ATOMIC_POSITIONS crystal
Tm 0.000 0.000 0.000
Fe 0.000 0.000 0.500
Fe 0.000 0.500 0.000
Fe 0.220 0.720 0.500
Fe 0.221 0.500 0.721
Fe 0.360 0.360 0.000
Fe 0.500 0.000 0.000
Fe 0.500 0.500 0.500
Fe 0.640 0.640 0.000
Fe 0.779 0.500 0.279
Fe 0.780 0.280 0.500
Mo 0.357 0.000 0.357
Mo 0.643 0.000 0.643
N 0.000 0.500 0.500
```

=====

3.
Material: YFe10Mo2N
Method: DFT, PBE-GGA
State: optimized geometry Values from VASP.

Calculated values
The energy of formation from the pure elements comes out at -50 meV/atom. For the spin magnetization, the calculation gives 11.150 μB per formula unit.

```
&SYSTEM
  ibrav = 0, nat = 14, ntyp = 4
/
ATOMIC_SPECIES
Y 88.91 Y.upf
Fe 55.84 Fe.upf
Mo 95.94 Mo.upf
N 14.01 N.upf
CELL_PARAMETERS angstrom
-2.357 4.204 4.225
2.357 -4.204 4.225
2.357 4.204 -4.225
ATOMIC_POSITIONS crystal
Y 0.000 0.000 0.000
Fe 0.000 0.000 0.500
Fe 0.000 0.500 0.000
Fe 0.215 0.715 0.500
Fe 0.220 0.500 0.720
Fe 0.364 0.364 0.000
Fe 0.500 0.000 0.000
Fe 0.500 0.500 0.500
Fe 0.636 0.636 0.000
Fe 0.780 0.500 0.280
Fe 0.785 0.285 0.500
Mo 0.355 0.000 0.355
Mo 0.645 0.000 0.645
N 0.000 0.500 0.500
```

=====

4.
Material: NdFe10Mo2
Method: DFT, PBE-GGA
State: optimized geometry Values from VASP.

Calculated values
The energy of formation from the pure elements comes out at 30 meV/atom. For the spin magnetization, the calculation gives 18.913 μB per formula unit.

```
&SYSTEM
  ibrav = 0, nat = 13, ntyp = 3
/
ATOMIC_SPECIES
Nd 144.24 Nd.upf
Fe 55.84 Fe.upf
Mo 95.94 Mo.upf
CELL_PARAMETERS angstrom
-2.356 4.327 4.354
2.356 -4.327 4.354
2.356 4.327 -4.354
ATOMIC_POSITIONS crystal
Nd 0.000 0.000 0.000
Fe 0.000 0.000 0.500
Fe 0.000 0.500 0.000
Fe 0.224 0.500 0.724
Fe 0.230 0.730 0.500
Fe 0.359 0.000 0.359
Fe 0.500 0.000 0.000
Fe 0.500 0.500 0.500
Fe 0.641 0.000 0.641
Fe 0.770 0.270 0.500
Fe 0.776 0.500 0.276
Mo 0.359 0.359 0.000
Mo 0.641 0.641 0.000
```

=====

5.
Material: FeMoP
Method: DFT, PBE-GGA
State: optimized geometry Values from VASP.

Calculated values
The energy of formation from the pure elements comes out at -591 meV/atom.

```
&SYSTEM
  ibrav = 0, nat = 12, ntyp = 3
/
ATOMIC_SPECIES
Fe 55.84 Fe.upf
Mo 95.94 Mo.upf
P 30.97 P.upf
CELL_PARAMETERS angstrom
5.923 0.000 0.000
0.000 3.666 0.000
0.000 0.000 6.733
ATOMIC_POSITIONS crystal
Fe 0.139 0.250 0.062
Fe 0.361 0.750 0.562
Fe 0.639 0.250 0.438
Fe 0.861 0.750 0.938
Mo 0.028 0.250 0.673
Mo 0.472 0.750 0.173
Mo 0.528 0.250 0.827
Mo 0.972 0.750 0.327
P 0.230 0.750 0.880
P 0.270 0.250 0.380
P 0.730 0.750 0.620
P 0.770 0.250 0.120
```

=====

6.
Material: Fe2MoP12
Method: DFT, PBE-GGA
State: optimized geometry Values from VASP.

Calculated values
The energy of formation from the pure elements comes out at -372 meV/atom.

```
&SYSTEM
  ibrav = 0, nat = 60, ntyp = 3
/
ATOMIC_SPECIES
Fe 55.84 Fe.upf
Mo 95.94 Mo.upf
P 30.97 P.upf
CELL_PARAMETERS angstrom
13.770 0.000 0.000
0.000 5.687 0.000
0.000 0.000 11.134
ATOMIC_POSITIONS crystal
Fe 0.150 0.103 0.041
Fe 0.150 0.897 0.541
Fe 0.350 0.397 0.541
Fe 0.350 0.603 0.041
Fe 0.650 0.397 0.959
Fe 0.650 0.603 0.459
Fe 0.850 0.103 0.459
Fe 0.850 0.897 0.959
Mo 0.000 0.399 0.750
Mo 0.000 0.601 0.250
Mo 0.500 0.101 0.250
Mo 0.500 0.899 0.750
P 0.008 0.256 0.102
P 0.008 0.744 0.602
P 0.087 0.062 0.856
P 0.087 0.938 0.356
P 0.092 0.265 0.561
P 0.092 0.735 0.061
P 0.168 0.484 0.304
P 0.168 0.516 0.804
P 0.189 0.119 0.229
P 0.189 0.881 0.729
P 0.203 0.467 0.000
P 0.203 0.533 0.500
P 0.297 0.033 0.500
P 0.297 0.967 0.000
P 0.311 0.381 0.729
P 0.311 0.619 0.229
P 0.332 0.016 0.804
P 0.332 0.984 0.304
P 0.408 0.235 0.061
P 0.408 0.765 0.561
P 0.413 0.438 0.356
P 0.413 0.562 0.856
P 0.492 0.244 0.602
P 0.492 0.756 0.102
P 0.508 0.244 0.898
P 0.508 0.756 0.398
P 0.587 0.438 0.144
P 0.587 0.562 0.644
P 0.592 0.235 0.439
P 0.592 0.765 0.939
P 0.668 0.016 0.696
P 0.668 0.984 0.196
P 0.689 0.381 0.771
P 0.689 0.619 0.271
P 0.703 0.033 0.000
P 0.703 0.967 0.500
P 0.797 0.467 0.500
P 0.797 0.533 0.000
P 0.811 0.119 0.271
P 0.811 0.881 0.771
P 0.832 0.484 0.196
P 0.832 0.516 0.696
P 0.908 0.265 0.939
P 0.908 0.735 0.439
P 0.913 0.062 0.644
P 0.913 0.938 0.144
P 0.992 0.256 0.398
P 0.992 0.744 0.898
```